#A
Sr4IrN4 | PBE-GGA | optimized geometry

a = 6.332 Å, b = 6.356 Å, c = 9.175 Å
α = 69.84°, β = 80.39°, γ = 74.54°
Fractional positions:
Sr 0.794 0.566 0.149
Sr 0.206 0.434 0.851
Sr 0.709 0.164 0.985
Sr 0.291 0.836 0.015
Sr 0.749 0.432 0.595
Sr 0.251 0.568 0.405
Sr 0.223 0.972 0.622
Sr 0.777 0.028 0.378
Ir 0.727 0.827 0.764
Ir 0.273 0.173 0.236
N 0.982 0.688 0.617
N 0.018 0.312 0.383
N 0.970 0.847 0.876
N 0.030 0.153 0.124
N 0.531 0.629 0.787
N 0.469 0.371 0.213
N 0.494 0.893 0.230
N 0.506 0.107 0.770

=====

#B
Sr4IrN4 | PBE-GGA | optimized geometry

a = 13.844 Å, b = 3.748 Å, c = 14.436 Å
α = 90.00°, β = 90.00°, γ = 90.00°
Fractional positions:
Sr 0.542 0.250 0.888
Sr 0.042 0.250 0.612
Sr 0.458 0.750 0.112
Sr 0.958 0.750 0.388
Sr 0.735 0.250 0.477
Sr 0.235 0.250 0.023
Sr 0.265 0.750 0.523
Sr 0.765 0.750 0.977
Sr 0.780 0.250 0.740
Sr 0.280 0.250 0.760
Sr 0.220 0.750 0.260
Sr 0.720 0.750 0.240
Sr 0.988 0.250 0.121
Sr 0.488 0.250 0.379
Sr 0.012 0.750 0.879
Sr 0.512 0.750 0.621
Ir 0.630 0.250 0.091
Ir 0.130 0.250 0.409
Ir 0.370 0.750 0.909
Ir 0.870 0.750 0.591
N 0.375 0.250 0.242
N 0.875 0.250 0.258
N 0.625 0.750 0.758
N 0.125 0.750 0.742
N 0.909 0.250 0.969
N 0.409 0.250 0.531
N 0.091 0.750 0.031
N 0.591 0.750 0.469
N 0.825 0.250 0.332
N 0.325 0.250 0.168
N 0.175 0.750 0.668
N 0.675 0.750 0.832
N 0.874 0.250 0.886
N 0.374 0.250 0.614
N 0.126 0.750 0.114
N 0.626 0.750 0.386

=====

Least stable: #B

=====

#A
Sr3Ir2N4 | PBE-GGA | optimized geometry

a = 7.373 Å, b = 9.363 Å, c = 5.576 Å
α = 90.00°, β = 91.97°, γ = 129.42°
Fractional positions:
Sr 0.240 0.966 0.055
Sr 0.760 0.726 0.445
Sr 0.760 0.034 0.945
Sr 0.240 0.274 0.555
Sr 0.000 0.593 0.750
Sr 0.000 0.407 0.250
Ir 0.532 0.150 0.584
Ir 0.468 0.618 0.916
Ir 0.468 0.850 0.416
Ir 0.532 0.382 0.084
N 0.215 0.930 0.539
N 0.785 0.714 0.961
N 0.785 0.070 0.461
N 0.215 0.286 0.039
N 0.665 0.269 0.924
N 0.335 0.604 0.576
N 0.335 0.731 0.076
N 0.665 0.396 0.424

=====

#B
Sr3Ir2N4 | PBE-GGA | optimized geometry

a = 6.348 Å, b = 9.784 Å, c = 9.843 Å
α = 90.00°, β = 90.00°, γ = 90.00°
Fractional positions:
Sr 0.616 0.162 0.423
Sr 0.884 0.838 0.423
Sr 0.616 0.338 0.077
Sr 0.884 0.662 0.077
Sr 0.384 0.838 0.577
Sr 0.116 0.162 0.577
Sr 0.384 0.662 0.923
Sr 0.116 0.338 0.923
Sr 0.750 0.500 0.395
Sr 0.750 0.000 0.105
Sr 0.250 0.500 0.605
Sr 0.250 0.000 0.895
Ir 0.750 0.500 0.718
Ir 0.750 0.000 0.782
Ir 0.250 0.500 0.282
Ir 0.250 0.000 0.218
Ir 0.574 0.250 0.750
Ir 0.926 0.750 0.750
Ir 0.426 0.750 0.250
Ir 0.074 0.250 0.250
N 0.902 0.368 0.615
N 0.598 0.632 0.615
N 0.902 0.132 0.885
N 0.598 0.868 0.885
N 0.098 0.632 0.385
N 0.402 0.368 0.385
N 0.098 0.868 0.115
N 0.402 0.132 0.115
N 0.499 0.424 0.837
N 0.001 0.576 0.837
N 0.499 0.076 0.663
N 0.001 0.924 0.663
N 0.501 0.576 0.163
N 0.999 0.424 0.163
N 0.501 0.924 0.337
N 0.999 0.076 0.337

=====

Least stable: #A

=====

#A
SrIrN2 | PBE-GGA | optimized geometry

a = 3.931 Å, b = 3.931 Å, c = 7.865 Å
α = 90.00°, β = 90.00°, γ = 90.00°
Fractional positions:
Sr 0.750 0.750 0.162
Sr 0.250 0.250 0.838
Ir 0.750 0.750 0.591
Ir 0.250 0.250 0.409
N 0.750 0.250 0.500
N 0.250 0.750 0.500
N 0.750 0.750 0.841
N 0.250 0.250 0.159

=====

#B
SrIrN2 | PBE-GGA | optimized geometry

a = 6.101 Å, b = 8.298 Å, c = 5.298 Å
α = 90.00°, β = 107.76°, γ = 90.00°
Fractional positions:
Sr 0.322 0.901 0.653
Sr 0.678 0.401 0.847
Sr 0.678 0.099 0.347
Sr 0.322 0.599 0.153
Ir 0.120 0.357 0.540
Ir 0.880 0.857 0.960
Ir 0.880 0.643 0.460
Ir 0.120 0.143 0.040
N 0.217 0.902 0.099
N 0.783 0.402 0.401
N 0.783 0.098 0.901
N 0.217 0.598 0.599
N 0.267 0.318 0.929
N 0.733 0.818 0.571
N 0.733 0.682 0.071
N 0.267 0.182 0.429

=====

Least stable: #A

=====

#A
Nb3IrS8 | PBE-GGA | optimized geometry

a = 6.725 Å, b = 6.725 Å, c = 13.952 Å
α = 69.27°, β = 69.27°, γ = 60.35°
Fractional positions:
Nb 0.367 0.158 0.751
Nb 0.857 0.143 0.750
Nb 0.842 0.633 0.749
Nb 0.158 0.367 0.251
Nb 0.143 0.857 0.250
Nb 0.633 0.842 0.249
Ir 0.584 0.416 0.250
Ir 0.416 0.584 0.750
S 0.485 0.219 0.881
S 0.968 0.248 0.871
S 0.981 0.277 0.147
S 0.019 0.723 0.853
S 0.739 0.464 0.369
S 0.536 0.261 0.131
S 0.464 0.739 0.869
S 0.219 0.485 0.381
S 0.261 0.536 0.631
S 0.515 0.781 0.119
S 0.248 0.968 0.371
S 0.032 0.752 0.129
S 0.781 0.515 0.619
S 0.723 0.019 0.353
S 0.752 0.032 0.629
S 0.277 0.981 0.647

=====

#B
Nb3IrS8 | PBE-GGA | optimized geometry

a = 6.704 Å, b = 6.704 Å, c = 8.538 Å
α = 53.98°, β = 53.98°, γ = 60.02°
Fractional positions:
Nb 0.500 0.500 0.000
Nb 0.500 0.000 0.000
Nb 0.000 0.500 0.000
Ir 0.000 0.000 0.000
S 0.039 0.039 0.247
S 0.543 0.543 0.248
S 0.553 0.039 0.246
S 0.039 0.553 0.246
S 0.447 0.961 0.754
S 0.961 0.447 0.754
S 0.961 0.961 0.753
S 0.457 0.457 0.752

=====

Least stable: #B

=====

#A
Nb3IrSe8 | PBE-GGA | optimized geometry

a = 6.954 Å, b = 6.954 Å, c = 14.878 Å
α = 69.63°, β = 69.63°, γ = 60.19°
Fractional positions:
Nb 0.908 0.631 0.748
Nb 0.631 0.908 0.248
Nb 0.897 0.103 0.750
Nb 0.369 0.092 0.752
Nb 0.092 0.369 0.252
Nb 0.103 0.897 0.250
Ir 0.674 0.326 0.250
Ir 0.326 0.674 0.750
Se 0.100 0.868 0.615
Se 0.423 0.630 0.352
Se 0.122 0.337 0.626
Se 0.577 0.370 0.648
Se 0.829 0.609 0.131
Se 0.391 0.171 0.369
Se 0.609 0.829 0.631
Se 0.868 0.100 0.115
Se 0.171 0.391 0.869
Se 0.900 0.132 0.385
Se 0.878 0.663 0.374
Se 0.132 0.900 0.885
Se 0.337 0.122 0.126
Se 0.370 0.577 0.148
Se 0.663 0.878 0.874
Se 0.630 0.423 0.852

=====

#B
Nb3IrSe8 | PBE-GGA | optimized geometry

a = 6.841 Å, b = 6.841 Å, c = 9.026 Å
α = 55.55°, β = 55.55°, γ = 60.04°
Fractional positions:
Nb 0.500 0.500 0.000
Nb 0.500 0.000 0.000
Nb 0.000 0.500 0.000
Ir 0.000 0.000 0.000
Se 0.037 0.037 0.248
Se 0.543 0.543 0.249
Se 0.555 0.038 0.248
Se 0.038 0.555 0.248
Se 0.445 0.962 0.752
Se 0.962 0.445 0.752
Se 0.963 0.963 0.752
Se 0.457 0.457 0.751

=====

Least stable: #B

=====

#A
Sr2IrO4 | PBE-GGA | optimized geometry

a = 7.815 Å, b = 7.868 Å, c = 15.477 Å
α = 81.85°, β = 84.69°, γ = 89.02°
Fractional positions:
Sr 0.964 0.200 0.960
Sr 0.091 0.942 0.785
Sr 0.716 0.685 0.871
Sr 0.963 0.189 0.436
Sr 0.566 0.222 0.591
Sr 0.032 0.494 0.230
Sr 0.737 0.597 0.449
Sr 0.502 0.284 0.032
Sr 0.485 0.787 0.078
Sr 0.296 0.455 0.784
Sr 0.888 0.445 0.682
Sr 0.484 0.039 0.401
Sr 0.251 0.525 0.500
Sr 0.476 0.436 0.297
Sr 0.185 0.056 0.193
Sr 0.153 0.627 0.999
Ir 0.549 0.783 0.678
Ir 0.760 0.101 0.174
Ir 0.880 0.837 0.108
Ir 0.620 0.124 0.830
Ir 0.664 0.801 0.242
Ir 0.366 0.025 0.917
Ir 0.925 0.855 0.557
Ir 0.199 0.894 0.597
O 0.521 0.999 0.186
O 0.190 0.039 0.345
O 0.949 0.248 0.128
O 0.561 0.953 0.753
O 0.709 0.215 0.277
O 0.853 0.362 0.545
O 0.248 0.388 0.115
O 0.133 0.940 0.947
O 0.270 0.096 0.530
O 0.580 0.310 0.743
O 0.759 0.587 0.285
O 0.800 0.780 0.671
O 0.281 0.262 0.931
O 0.400 0.496 0.129
O 0.206 0.370 0.652
O 0.689 0.305 0.898
O 0.126 0.242 0.725
O 0.998 0.617 0.799
O 0.072 0.603 0.375
O 0.542 0.627 0.600
O 0.158 0.434 0.368
O 0.714 0.985 0.521
O 0.108 0.784 0.141
O 0.510 0.371 0.450
O 0.507 0.761 0.347
O 0.011 0.523 0.890
O 0.965 0.841 0.442
O 0.291 0.768 0.696
O 0.779 0.739 0.024
O 0.286 0.195 0.303
O 0.422 0.758 0.930
O 0.816 0.998 0.864

=====

#B
Sr2IrO4 | PBE-GGA | optimized geometry

a = 6.970 Å, b = 6.970 Å, c = 6.970 Å
α = 147.04°, β = 147.04°, γ = 47.30°
Fractional positions:
Sr 0.646 0.646 0.000
Sr 0.354 0.354 0.000
Ir 0.000 0.000 0.000
O 0.000 0.500 0.500
O 0.500 0.000 0.500
O 0.837 0.837 0.000
O 0.163 0.163 0.000

=====

#C
Sr2IrO4 | PBE-GGA | optimized geometry

a = 13.689 Å, b = 13.689 Å, c = 13.689 Å
α = 156.72°, β = 156.72°, γ = 33.16°
Fractional positions:
Sr 0.925 0.425 0.500
Sr 0.175 0.175 0.000
Sr 0.325 0.325 0.000
Sr 0.075 0.575 0.500
Sr 0.675 0.675 0.000
Sr 0.425 0.925 0.500
Sr 0.575 0.075 0.500
Sr 0.825 0.825 0.000
Ir 0.250 0.750 0.500
Ir 0.500 0.500 0.000
Ir 0.000 0.000 0.000
Ir 0.750 0.250 0.500
O 0.580 0.580 0.000
O 0.330 0.830 0.500
O 0.670 0.170 0.500
O 0.920 0.920 0.000
O 0.170 0.670 0.500
O 0.420 0.420 0.000
O 0.080 0.080 0.000
O 0.830 0.330 0.500
O 0.939 0.561 0.000
O 0.311 0.811 0.121
O 0.689 0.189 0.879
O 0.561 0.939 0.000
O 0.189 0.311 0.500
O 0.061 0.061 0.621
O 0.439 0.439 0.379
O 0.811 0.689 0.500

=====

Least stable: #A

=====

#A
ReIr3 | PBE-GGA | optimized geometry

a = 9.137 Å, b = 9.137 Å, c = 9.137 Å
α = 17.27°, β = 17.27°, γ = 17.27°
Fractional positions:
Re 0.000 0.000 0.000
Ir 0.251 0.251 0.251
Ir 0.500 0.500 0.500
Ir 0.749 0.749 0.749

=====

#B
ReIr3 | PBE-GGA | optimized geometry

a = 5.539 Å, b = 5.539 Å, c = 4.398 Å
α = 90.00°, β = 90.00°, γ = 120.00°
Fractional positions:
Re 0.333 0.667 0.750
Re 0.667 0.333 0.250
Ir 0.167 0.335 0.250
Ir 0.665 0.833 0.250
Ir 0.167 0.833 0.250
Ir 0.833 0.665 0.750
Ir 0.335 0.167 0.750
Ir 0.833 0.167 0.750

=====

Least stable: #A